Entry 1:
! Na3InSi2SnSO12 (GGA-PBE, optimized geometry); values from VASP
! Energy with MP2020 corrections in eV per atom: -6.634
! Total DFT energy (no corrections) in eV per formula unit: -124.43
! Energy of formation from the pure elements in eV per atom: -2.379
&SYSTEM
  ibrav = 0, nat = 120, ntyp = 6
/
ATOMIC_SPECIES
O 16.00 O.upf
Sn 118.71 Sn.upf
Si 28.09 Si.upf
Na 22.99 Na.upf
S 32.06 S.upf
In 114.82 In.upf
CELL_PARAMETERS angstrom
-0.317 -1.587 9.000
7.391 -2.416 -4.812
9.329 20.475 3.815
ATOMIC_POSITIONS crystal
O 0.880 0.520 0.144
O 0.849 0.358 0.919
Sn 0.017 0.006 0.648
Sn 0.994 0.983 0.148
Si 0.299 0.298 0.751
Si 0.965 0.632 0.085
Na 0.338 0.034 0.408
O 0.828 0.808 0.587
O 0.155 0.484 0.582
O 0.182 0.025 0.586
Na 0.007 0.032 0.496
O 0.822 0.817 0.915
Si 0.035 0.368 0.918
O 0.656 0.532 0.634
O 0.032 0.227 0.194
S 0.010 0.302 0.249
O 0.642 0.151 0.419
O 0.551 0.685 0.982
O 0.773 0.968 0.694
In 0.660 0.329 0.185
S 0.031 0.656 0.416
S 0.698 0.990 0.749
Na 0.674 0.366 0.829
O 0.191 0.986 0.914
O 0.468 0.344 0.134
O 0.323 0.865 0.967
Na 0.633 0.995 0.242
Na 0.301 0.660 0.663
O 0.149 0.643 0.080
O 0.489 0.150 0.248
O 0.294 0.811 0.255
O 0.700 0.166 0.031
O 0.857 0.319 0.247
Sn 0.661 0.316 0.482
S 0.677 0.635 0.582
O 0.841 0.549 0.026
O 0.525 0.838 0.754
Na 0.358 0.007 0.743
O 0.367 0.500 0.364
Na 0.968 0.993 0.996
Na 0.634 0.326 0.329
O 0.482 0.310 0.747
O 0.975 0.818 0.086
O 0.885 0.352 0.649
O 0.834 0.300 0.531
Na 0.299 0.328 0.575
In 0.326 0.662 0.519
O 0.135 0.677 0.467
O 0.500 0.633 0.864
O 0.960 0.144 0.589
Si 0.627 0.664 0.921
O 0.183 0.178 0.415
Si 0.294 0.997 0.254
Na 0.340 0.699 0.163
O 0.117 0.492 0.859
Na 0.692 0.674 0.410
O 0.213 0.187 0.810
Si 0.003 0.706 0.754
O 0.813 0.787 0.310
O 0.515 0.692 0.252
O 0.522 0.373 0.422
O 0.850 0.511 0.748
Na 0.005 0.367 0.742
Na 0.326 0.308 0.910
O 0.784 0.825 0.193
O 0.308 0.485 0.752
Na 0.025 0.341 0.077
O 0.365 0.894 0.861
Na 0.993 0.642 0.243
O 0.856 0.040 0.089
O 0.802 0.010 0.801
Sn 0.684 0.339 0.982
Na 0.672 0.701 0.075
In 0.993 0.995 0.852
Si 0.368 0.035 0.585
O 0.357 0.851 0.580
O 0.690 0.518 0.247
O 0.990 0.198 0.301
O 0.858 0.505 0.420
Si 0.961 0.331 0.588
Si 0.632 0.965 0.418
O 0.218 0.018 0.315
Si 0.336 0.373 0.421
O 0.147 0.454 0.977
O 0.192 0.172 0.087
O 0.033 0.833 0.698
O 0.508 0.883 0.359
O 0.347 0.476 0.081
O 0.982 0.782 0.815
O 0.495 0.142 0.920
In 0.671 0.340 0.685
O 0.315 0.449 0.482
O 0.648 0.115 0.149
O 0.439 0.302 0.027
Si 0.702 0.701 0.251
O 0.480 0.120 0.644
Si 0.669 0.039 0.088
O 0.516 0.845 0.082
O 0.524 0.653 0.581
In 0.338 0.674 0.019
O 0.546 0.853 0.477
O 0.167 0.967 0.198
O 0.162 0.475 0.254
O 0.106 0.635 0.361
O 0.815 0.976 0.413
Na 0.659 0.975 0.577
O 0.189 0.706 0.755
In 0.005 0.007 0.352
O 0.451 0.159 0.526
S 0.365 0.323 0.082
Sn 0.328 0.650 0.815
O 0.024 0.185 0.913
O 0.627 0.478 0.922
O 0.175 0.216 0.693
Sn 0.350 0.672 0.315
Na 0.966 0.662 0.908
O 0.681 0.143 0.747
S 0.344 0.969 0.916
O 0.698 0.561 0.527
O 0.014 0.809 0.414



Entry 2:
! Na6In4Si5Sn4S7O48 (GGA-PBE, optimized geometry); values from VASP
! Symmetry: P1, No. 1
! Energy with MP2020 corrections in eV per atom: -6.648
! Total DFT energy (no corrections) in eV per formula unit: -458.97
! Energy of formation from the pure elements in eV per atom: -2.208
&SYSTEM
  ibrav = 0, nat = 222, ntyp = 6
/
ATOMIC_SPECIES
O 16.00 O.upf
In 114.82 In.upf
Na 22.99 Na.upf
Si 28.09 Si.upf
S 32.06 S.upf
Sn 118.71 Sn.upf
CELL_PARAMETERS angstrom
17.986 -0.010 0.027
-4.501 7.784 0.002
0.036 0.028 22.983
ATOMIC_POSITIONS crystal
O 0.446 0.356 0.639
In 0.325 0.337 0.678
O 0.912 0.982 0.086
Na 0.165 0.017 0.433
O 0.276 0.863 0.472
O 0.093 0.702 0.464
O 0.772 0.696 0.249
O 0.779 0.691 0.974
Si 0.690 0.033 0.581
Si 0.518 0.377 0.916
Na 0.829 0.331 0.821
Na 0.819 0.331 0.341
S 0.986 0.631 0.087
O 0.411 0.314 0.243
O 0.554 0.475 0.854
O 0.751 0.347 0.424
O 0.849 0.558 0.527
O 0.589 0.477 0.968
O 0.262 0.710 0.256
In 0.828 0.317 0.989
O 0.489 0.200 0.309
O 0.586 0.966 0.918
O 0.004 0.189 0.915
O 0.253 0.862 0.078
O 0.415 0.846 0.590
O 0.555 0.655 0.360
S 0.332 0.036 0.083
O 0.754 0.643 0.576
S 0.317 0.970 0.419
Na 0.326 0.311 0.839
Sn 0.330 0.326 0.980
O 0.434 0.319 0.532
O 0.947 0.535 0.142
O 0.763 0.634 0.869
O 0.719 0.308 0.020
S 0.015 0.364 0.916
Si 0.002 0.699 0.747
O 0.741 0.138 0.918
O 0.742 0.841 0.076
Si 0.832 0.025 0.083
S 0.856 0.707 0.246
Na 0.005 0.019 0.998
O 0.608 0.194 0.815
O 0.423 0.542 0.032
O 0.241 0.118 0.637
Sn 0.166 0.675 0.523
O 0.483 0.803 0.087
O 0.076 0.463 0.251
O 0.658 0.487 0.079
O 0.899 0.976 0.413
O 0.504 0.821 0.414
S 0.812 0.958 0.415
O 0.401 0.980 0.414
In 0.166 0.685 0.815
O 0.084 0.663 0.749
O 0.593 0.014 0.585
O 0.320 0.536 0.642
O 0.597 0.976 0.201
O 0.227 0.148 0.243
S 0.666 0.957 0.917
O 0.609 0.027 0.307
O 0.908 0.784 0.299
Sn 0.002 0.013 0.141
Na 0.192 0.658 0.165
O 0.570 0.688 0.467
O 0.571 0.496 0.581
O 0.078 0.983 0.915
S 0.141 0.999 0.249
Si 0.666 0.368 0.417
S 0.479 0.634 0.083
Si 0.178 0.034 0.583
O 0.649 0.459 0.475
O 0.902 0.813 0.194
O 0.643 0.471 0.748
O 0.575 0.695 0.752
O 0.071 0.450 0.969
Si 0.859 0.993 0.753
O 0.025 0.827 0.691
O 0.675 0.836 0.572
O 0.764 0.824 0.758
Si 0.357 0.722 0.253
O 0.479 0.777 0.803
O 0.244 0.648 0.575
Na 0.999 0.992 0.505
S 0.997 0.290 0.250
O 0.580 0.502 0.250
O 0.263 0.895 0.367
O 0.349 0.533 0.251
O 0.933 0.552 0.036
Sn 0.500 0.013 0.149
O 0.823 0.133 0.420
Sn 0.830 0.336 0.481
O 0.659 0.851 0.259
O 0.242 0.382 0.142
O 0.421 0.813 0.309
O 0.770 0.853 0.468
S 0.494 0.700 0.750
O 0.266 0.847 0.749
O 0.175 0.512 0.073
O 0.747 0.105 0.638
Sn 0.507 0.999 0.644
O 0.849 0.535 0.242
O 0.856 0.171 0.750
O 0.157 0.834 0.579
O 0.675 0.874 0.864
O 0.823 0.101 0.145
O 0.733 0.149 0.522
O 0.924 0.031 0.809
O 0.666 0.866 0.971
O 0.425 0.368 0.927
O 0.162 0.459 0.469
Na 0.997 0.621 0.257
In 0.668 0.657 0.813
O 0.826 0.531 0.633
In 0.331 0.350 0.186
Na 0.344 0.349 0.329
O 0.574 0.183 0.698
O 0.989 0.189 0.303
O 0.738 0.368 0.139
O 0.110 0.192 0.807
Sn 0.667 0.659 0.021
O 0.085 0.032 0.587
O 0.097 0.218 0.701
S 0.353 0.003 0.746
O 0.066 0.476 0.573
O 0.345 0.140 0.029
O 0.921 0.313 0.246
O 0.496 0.186 0.586
Si 0.020 0.658 0.414
In 0.331 0.347 0.494
O 0.925 0.307 0.529
O 0.408 0.010 0.086
S 0.151 0.295 0.754
O 0.219 0.131 0.520
O 0.903 0.823 0.915
In 0.821 0.308 0.174
O 0.261 0.643 0.863
S 0.514 0.667 0.415
Na 0.498 0.638 0.251
S 0.168 0.370 0.417
O 0.327 0.144 0.425
Na 0.672 0.643 0.163
S 0.818 0.665 0.921
O 0.014 0.837 0.414
Na 0.688 0.699 0.672
O 0.430 0.505 0.420
O 0.519 0.218 0.192
O 0.396 0.986 0.694
O 0.402 0.826 0.192
Sn 0.663 0.658 0.517
Na 0.999 0.365 0.750
Na 0.504 0.017 0.001
In 0.664 0.645 0.315
O 0.177 0.465 0.362
Sn 0.163 0.665 0.016
O 0.736 0.164 0.250
O 0.105 0.022 0.304
O 0.420 0.517 0.747
O 0.248 0.155 0.924
O 0.347 0.163 0.743
O 0.361 0.577 0.525
O 0.144 0.836 0.250
Sn 0.001 0.989 0.651
Si 0.499 0.302 0.248
In 0.996 0.991 0.355
O 0.585 0.142 0.087
S 0.650 0.006 0.254
S 0.313 0.668 0.916
O 0.903 0.974 0.692
O 0.917 0.511 0.740
O 0.159 0.467 0.759
Si 0.335 0.646 0.584
O 0.273 0.693 0.969
O 0.185 0.889 0.861
O 0.828 0.510 0.926
O 0.000 0.810 0.092
S 0.834 0.631 0.581
In 0.499 0.008 0.852
O 0.322 0.117 0.136
Si 0.643 0.288 0.751
O 0.243 0.340 0.419
S 0.485 0.337 0.585
O 0.927 0.486 0.425
Na 0.499 0.362 0.753
O 0.094 0.169 0.087
O 0.909 0.810 0.584
Na 0.663 0.303 0.917
Sn 0.002 0.977 0.850
O 0.401 0.023 0.800
O 0.072 0.645 0.082
Si 0.164 0.963 0.919
In 0.171 0.669 0.317
O 0.579 0.174 0.414
O 0.944 0.359 0.635
O 0.567 0.662 0.074
O 0.400 0.823 0.912
In 0.824 0.309 0.689
O 0.496 0.792 0.696
O 0.932 0.360 0.922
O 0.084 0.978 0.198
O 0.322 0.514 0.922
O 0.056 0.635 0.351
S 0.978 0.326 0.582
O 0.005 0.203 0.197
O 0.087 0.196 0.415
O 0.236 0.317 0.026
O 0.993 0.779 0.809
Sn 0.501 0.023 0.351
O 0.058 0.459 0.862
Si 0.678 0.327 0.082
O 0.148 0.842 0.977
O 0.448 0.536 0.138
O 0.763 0.881 0.361
O 0.687 0.479 0.358
O 0.236 0.309 0.750
Si 0.190 0.346 0.082
O 0.738 0.313 0.746
Na 0.507 0.992 0.503
O 0.983 0.167 0.585
O 0.858 0.154 0.028
O 0.508 0.184 0.918
Na 0.174 0.705 0.665